The following is a DFT calculation (GGA-PBE) of crystalline KMg6GaO8 at its relaxed geometry.

Cell lengths 4.439, 4.439, 8.685 Å; angles 90.00, 90.00, 90.00 degrees
Atoms (fractional coordinates):
K 0.000 0.000 0.000
Mg 0.000 0.000 0.500
Mg 0.000 0.500 0.252
Mg 0.000 0.500 0.748
Mg 0.500 0.000 0.252
Mg 0.500 0.000 0.748
Mg 0.500 0.500 0.500
Ga 0.500 0.500 0.000
O 0.000 0.000 0.276
O 0.000 0.000 0.724
O 0.000 0.500 0.000
O 0.000 0.500 0.500
O 0.500 0.000 0.000
O 0.500 0.000 0.500
O 0.500 0.500 0.235
O 0.500 0.500 0.765

Properties
Symmetry: P4/mmm
Energy relative to the lowest polymorph listed for this composition, meV per atom: 48.0
ΔH_f (0 K), eV per atom: -2.51
DFT total energy, eV per atom: -5.495


The following is a DFT calculation (GGA-PBE) of crystalline KMg14GaO16 at its relaxed geometry.

Cell lengths 4.403, 8.538, 8.658 Å; angles 90.00, 90.00, 90.00 degrees
Atoms (fractional coordinates):
K 0.000 0.000 0.000
Mg 0.000 0.000 0.500
Mg 0.000 0.248 0.256
Mg 0.000 0.248 0.744
Mg 0.000 0.500 0.500
Mg 0.000 0.752 0.256
Mg 0.000 0.752 0.744
Mg 0.500 0.000 0.252
Mg 0.500 0.000 0.748
Mg 0.500 0.247 0.000
Mg 0.500 0.249 0.500
Mg 0.500 0.500 0.252
Mg 0.500 0.500 0.748
Mg 0.500 0.751 0.500
Mg 0.500 0.753 0.000
Ga 0.000 0.500 0.000
O 0.000 0.000 0.275
O 0.000 0.000 0.725
O 0.000 0.258 0.500
O 0.000 0.282 0.000
O 0.000 0.500 0.248
O 0.000 0.500 0.752
O 0.000 0.718 0.000
O 0.000 0.742 0.500
O 0.500 0.000 0.000
O 0.500 0.000 0.500
O 0.500 0.251 0.249
O 0.500 0.251 0.751
O 0.500 0.500 0.000
O 0.500 0.500 0.500
O 0.500 0.749 0.249
O 0.500 0.749 0.751

Properties
Symmetry: Pmmm
Energy relative to the lowest polymorph listed for this composition, meV per atom: 0.0
ΔH_f (0 K), eV per atom: -2.82
DFT total energy, eV per atom: -5.781


The following is a DFT calculation (GGA-PBE) of crystalline KMg6GaO8 at its relaxed geometry.

Cell lengths 4.511, 4.511, 8.488 Å; angles 90.00, 90.00, 90.00 degrees
Atoms (fractional coordinates):
K 0.000 0.000 0.000
Mg 0.000 0.500 0.245
Mg 0.000 0.500 0.755
Mg 0.500 0.000 0.245
Mg 0.500 0.000 0.755
Mg 0.500 0.500 0.000
Mg 0.500 0.500 0.500
Ga 0.000 0.000 0.500
O 0.000 0.000 0.285
O 0.000 0.000 0.715
O 0.000 0.500 0.000
O 0.000 0.500 0.500
O 0.500 0.000 0.000
O 0.500 0.000 0.500
O 0.500 0.500 0.253
O 0.500 0.500 0.747

Properties
Symmetry: P4/mmm
Energy relative to the lowest polymorph listed for this composition, meV per atom: 0.0
ΔH_f (0 K), eV per atom: -2.55
DFT total energy, eV per atom: -5.543


The following is a DFT calculation (GGA-PBE) of crystalline KNa4GaO4 at its relaxed geometry.

Cell lengths 6.038, 18.919, 10.662 Å; angles 90.00, 90.00, 90.00 degrees
Atoms (fractional coordinates):
K 0.090 0.002 0.158
K 0.090 0.498 0.658
K 0.410 0.502 0.158
K 0.410 0.998 0.658
K 0.590 0.002 0.342
K 0.590 0.498 0.842
K 0.910 0.502 0.342
K 0.910 0.998 0.842
Na 0.061 0.747 0.070
Na 0.061 0.753 0.570
Na 0.077 0.678 0.324
Na 0.077 0.822 0.824
Na 0.096 0.067 0.445
Na 0.096 0.433 0.945
Na 0.111 0.147 0.695
Na 0.111 0.353 0.195
Na 0.389 0.647 0.695
Na 0.389 0.853 0.195
Na 0.404 0.567 0.445
Na 0.404 0.933 0.945
Na 0.423 0.178 0.324
Na 0.423 0.322 0.824
Na 0.439 0.247 0.070
Na 0.439 0.253 0.570
Na 0.561 0.747 0.430
Na 0.561 0.753 0.930
Na 0.577 0.678 0.176
Na 0.577 0.822 0.676
Na 0.596 0.067 0.055
Na 0.596 0.433 0.555
Na 0.611 0.147 0.805
Na 0.611 0.353 0.305
Na 0.889 0.647 0.805
Na 0.889 0.853 0.305
Na 0.904 0.567 0.055
Na 0.904 0.933 0.555
Na 0.923 0.178 0.176
Na 0.923 0.322 0.676
Na 0.939 0.247 0.430
Na 0.939 0.253 0.930
Ga 0.200 0.128 0.963
Ga 0.200 0.372 0.463
Ga 0.300 0.628 0.963
Ga 0.300 0.872 0.463
Ga 0.700 0.128 0.537
Ga 0.700 0.372 0.037
Ga 0.800 0.628 0.537
Ga 0.800 0.872 0.037
O 0.112 0.626 0.536
O 0.112 0.874 0.036
O 0.166 0.549 0.886
O 0.166 0.951 0.386
O 0.202 0.636 0.132
O 0.202 0.864 0.632
O 0.209 0.710 0.871
O 0.209 0.790 0.371
O 0.291 0.210 0.871
O 0.291 0.290 0.371
O 0.298 0.136 0.132
O 0.298 0.364 0.632
O 0.334 0.049 0.886
O 0.334 0.451 0.386
O 0.388 0.126 0.536
O 0.388 0.374 0.036
O 0.612 0.626 0.964
O 0.612 0.874 0.464
O 0.666 0.549 0.614
O 0.666 0.951 0.114
O 0.702 0.636 0.368
O 0.702 0.864 0.868
O 0.709 0.710 0.629
O 0.709 0.790 0.129
O 0.791 0.210 0.629
O 0.791 0.290 0.129
O 0.798 0.136 0.368
O 0.798 0.364 0.868
O 0.834 0.049 0.614
O 0.834 0.451 0.114
O 0.888 0.126 0.964
O 0.888 0.374 0.464

Properties
Symmetry: Pbca
ΔH_f (0 K), eV per atom: -1.81
DFT total energy, eV per atom: -4.461


The following is a DFT calculation (GGA-PBE) of crystalline K2NaGaP2 at its relaxed geometry.

Cell lengths 8.659, 8.659, 8.659 Å; angles 134.80, 64.64, 136.36 degrees
Atoms (fractional coordinates):
K 0.175 0.247 0.421
K 0.325 0.747 0.072
K 0.675 0.253 0.928
K 0.825 0.753 0.579
Na 0.250 0.250 0.000
Na 0.750 0.750 0.000
Ga 0.250 0.750 0.500
Ga 0.750 0.250 0.500
P 0.092 0.699 0.791
P 0.408 0.199 0.607
P 0.592 0.801 0.393
P 0.908 0.301 0.209

Properties
Symmetry: Ibam
ΔH_f (0 K), eV per atom: -0.45
DFT total energy, eV per atom: -3.354


The following is a DFT calculation (GGA-PBE) of crystalline K6Na3GaSb4 at its relaxed geometry.

Cell lengths 10.292, 10.292, 10.601 Å; angles 90.00, 90.00, 120.00 degrees
Atoms (fractional coordinates):
K 0.207 0.414 0.041
K 0.207 0.414 0.459
K 0.207 0.793 0.041
K 0.207 0.793 0.459
K 0.414 0.207 0.541
K 0.414 0.207 0.959
K 0.586 0.793 0.041
K 0.586 0.793 0.459
K 0.793 0.207 0.541
K 0.793 0.207 0.959
K 0.793 0.586 0.541
K 0.793 0.586 0.959
Na 0.115 0.230 0.750
Na 0.115 0.885 0.750
Na 0.230 0.115 0.250
Na 0.770 0.885 0.750
Na 0.885 0.115 0.250
Na 0.885 0.770 0.250
Ga 0.333 0.667 0.750
Ga 0.667 0.333 0.250
Sb 0.000 0.000 0.000
Sb 0.000 0.000 0.500
Sb 0.037 0.518 0.750
Sb 0.482 0.518 0.750
Sb 0.482 0.963 0.750
Sb 0.518 0.037 0.250
Sb 0.518 0.482 0.250
Sb 0.963 0.482 0.250

Properties
Symmetry: P6_3/mmc
ΔH_f (0 K), eV per atom: -0.50
DFT total energy, eV per atom: -2.596